{"formula": "Na10Ti5Zn3Si6S6O48", "functional": "GGA-PBE", "state": "optimized geometry", "lattice_angstrom": [[17.8641, 0.0028, 0.0719], [-4.4649, 7.7411, 0.0049], [0.0926, 0.0672, 22.1785]], "species": ["Na", "Na", "Na", "Na", "Na", "Na", "Na", "Na", "Na", "Na", "Na", "Na", "Na", "Na", "Na", "Na", "Na", "Na", "Na", "Na", "Na", "Na", "Na", "Na", "Na", "Na", "Na", "Na", "Na", "Na", "Ti", "Ti", "Ti", "Ti", "Ti", "Ti", "Ti", "Ti", "Ti", "Ti", "Ti", "Ti", "Ti", "Ti", "Ti", "Zn", "Zn", "Zn", "Zn", "Zn", "Zn", "Zn", "Zn", "Zn", "Si", "Si", "Si", "Si", "Si", "Si", "Si", "Si", "Si", "Si", "Si", "Si", "Si", "Si", "Si", "Si", "Si", "Si", "S", "S", "S", "S", "S", "S", "S", "S", "S", "S", "S", "S", "S", "S", "S", "S", "S", "S", "O", "O", "O", "O", "O", "O", "O", "O", "O", "O", "O", "O", "O", "O", "O", "O", "O", "O", "O", "O", "O", "O", "O", "O", "O", "O", "O", "O", "O", "O", "O", "O", "O", "O", "O", "O", "O", "O", "O", "O", "O", "O", "O", "O", "O", "O", "O", "O", "O", "O", "O", "O", "O", "O", "O", "O", "O", "O", "O", "O", "O", "O", "O", "O", "O", "O", "O", "O", "O", "O", "O", "O", "O", "O", "O", "O", "O", "O", "O", "O", "O", "O", "O", "O", "O", "O", "O", "O", "O", "O", "O", "O", "O", "O", "O", "O", "O", "O", "O", "O", "O", "O", "O", "O", "O", "O", "O", "O", "O", "O", "O", "O", "O", "O", "O", "O", "O", "O", "O", "O", "O", "O", "O", "O", "O", "O", "O", "O", "O", "O", "O", "O", "O", "O", "O", "O", "O", "O", "O", "O", "O", "O", "O", "O"], "frac_coords": [[0.3179, 0.0054, 0.2461], [0.1940, 0.3692, 0.2431], [0.6891, 0.3674, 0.2424], [0.9976, 0.6313, 0.2501], [0.3158, 0.6189, 0.7520], [0.8171, 0.6229, 0.7496], [0.9939, 0.3656, 0.7473], [0.4931, 0.3707, 0.7410], [0.1873, 0.0091, 0.7484], [0.6896, 0.0127, 0.7506], [0.6502, 0.3463, 0.5751], [0.3238, 0.6858, 0.0783], [0.8263, 0.6914, 0.0862], [0.1613, 0.3105, 0.9224], [0.9953, 0.3059, 0.4207], [0.1652, 0.0290, 0.4209], [0.6603, 0.0206, 0.4145], [0.8442, 0.6734, 0.4199], [0.0026, 0.0057, 0.5037], [0.4885, 0.9989, 0.4952], [0.0017, 0.0135, 0.9987], [0.5026, 0.0220, 0.9964], [0.3423, 0.3473, 0.8335], [0.8360, 0.3361, 0.8316], [0.3430, 0.3677, 0.3286], [0.8321, 0.3256, 0.3260], [0.1642, 0.6605, 0.1574], [0.6596, 0.6674, 0.1597], [0.1633, 0.6636, 0.6581], [0.6617, 0.6717, 0.6580], [0.0014, 0.9911, 0.3550], [0.9980, 0.0069, 0.8492], [0.5024, 0.9979, 0.8573], [0.0015, 0.0007, 0.6533], [0.5051, 0.0134, 0.6465], [0.0074, 0.9944, 0.1474], [0.4983, 0.0023, 0.1450], [0.3322, 0.3436, 0.9762], [0.8266, 0.3216, 0.9809], [0.3377, 0.3382, 0.4843], [0.8339, 0.3374, 0.4733], [0.1724, 0.6624, 0.3147], [0.6775, 0.6745, 0.3166], [0.1561, 0.6395, 0.8176], [0.6558, 0.6532, 0.8093], [0.4996, 0.0025, 0.3503], [0.3378, 0.3509, 0.6828], [0.8366, 0.3369, 0.6907], [0.3295, 0.3440, 0.1856], [0.8306, 0.3391, 0.1803], [0.1663, 0.6376, 0.0120], [0.6572, 0.6348, 0.0156], [0.1584, 0.6518, 0.5111], [0.6616, 0.6500, 0.5142], [0.1476, 0.9935, 0.2524], [0.3590, 0.7131, 0.2528], [0.8553, 0.7135, 0.2491], [0.1462, 0.2912, 0.7499], [0.6433, 0.2875, 0.7507], [0.0051, 0.7171, 0.7525], [0.4995, 0.7173, 0.7502], [0.8528, 0.9934, 0.7500], [0.4810, 0.3348, 0.5880], [0.1834, 0.3300, 0.0852], [0.6841, 0.3339, 0.0870], [0.3147, 0.6751, 0.9184], [0.0115, 0.3592, 0.9191], [0.5171, 0.3683, 0.9169], [0.8120, 0.9560, 0.4202], [0.1708, 0.3739, 0.4175], [0.6595, 0.3621, 0.4187], [0.0251, 0.6700, 0.4166], [0.6454, 0.9914, 0.2498], [0.9995, 0.2854, 0.2500], [0.5032, 0.2973, 0.2494], [0.3559, 0.9936, 0.7512], [0.9786, 0.3287, 0.5834], [0.1857, 0.0394, 0.5843], [0.6877, 0.0420, 0.5837], [0.3324, 0.6311, 0.5835], [0.8390, 0.6309, 0.5842], [0.4790, 0.6266, 0.0841], [0.9799, 0.6258, 0.0835], [0.3353, 0.0478, 0.0860], [0.8345, 0.0458, 0.0834], [0.8145, 0.6664, 0.9173], [0.1660, 0.9551, 0.9173], [0.6681, 0.9571, 0.9178], [0.3135, 0.9613, 0.4188], [0.5191, 0.6584, 0.4172], [0.0958, 0.0208, 0.3088], [0.6122, 0.0243, 0.3067], [0.4120, 0.8129, 0.3102], [0.9146, 0.8180, 0.3071], [0.4907, 0.1981, 0.3046], [0.9900, 0.1917, 0.3071], [0.1003, 0.1738, 0.8102], [0.5927, 0.1571, 0.8055], [0.4874, 0.8149, 0.8073], [0.9898, 0.8154, 0.8088], [0.4096, 0.0208, 0.8045], [0.9187, 0.0307, 0.8064], [0.3975, 0.9708, 0.6957], [0.9007, 0.9562, 0.6918], [0.0786, 0.1988, 0.6930], [0.5826, 0.2057, 0.6890], [0.0228, 0.8464, 0.6930], [0.5138, 0.8429, 0.6909], [0.4054, 0.8409, 0.1913], [0.9001, 0.8257, 0.1873], [0.0105, 0.1961, 0.1971], [0.5187, 0.2088, 0.1959], [0.0821, 0.9688, 0.1943], [0.5900, 0.9801, 0.1976], [0.4368, 0.3478, 0.6495], [0.9359, 0.3405, 0.6392], [0.2329, 0.1229, 0.6399], [0.7352, 0.1236, 0.6394], [0.3187, 0.5364, 0.6412], [0.8293, 0.5260, 0.6387], [0.4419, 0.5237, 0.1388], [0.9458, 0.5337, 0.1419], [0.3317, 0.1272, 0.1434], [0.8280, 0.1288, 0.1384], [0.2385, 0.3581, 0.1452], [0.7397, 0.3683, 0.1479], [0.2361, 0.3110, 0.0244], [0.7397, 0.3092, 0.0289], [0.4232, 0.5414, 0.0301], [0.9208, 0.5297, 0.0330], [0.3471, 0.1570, 0.0328], [0.8449, 0.1569, 0.0286], [0.2319, 0.1490, 0.5290], [0.7325, 0.1543, 0.5293], [0.3404, 0.5286, 0.5318], [0.8433, 0.5374, 0.5283], [0.4155, 0.3175, 0.5297], [0.9272, 0.3182, 0.5283], [0.2821, 0.7115, 0.9807], [0.7787, 0.6958, 0.9731], [0.0786, 0.4392, 0.9723], [0.5753, 0.4412, 0.9743], [0.1562, 0.8546, 0.9709], [0.6595, 0.8556, 0.9711], [0.2721, 0.8580, 0.4727], [0.7708, 0.8264, 0.4755], [0.1401, 0.4446, 0.4729], [0.6482, 0.4352, 0.4810], [0.0872, 0.7314, 0.4732], [0.5717, 0.6886, 0.4714], [0.0668, 0.6263, 0.3573], [0.5611, 0.6335, 0.3624], [0.2584, 0.8777, 0.3630], [0.7465, 0.8666, 0.3605], [0.1851, 0.4977, 0.3563], [0.6818, 0.5011, 0.3607], [0.0589, 0.4812, 0.8559], [0.5653, 0.4986, 0.8564], [0.1754, 0.8725, 0.8607], [0.6797, 0.8805, 0.8609], [0.2460, 0.6356, 0.8611], [0.7608, 0.6442, 0.8631], [0.0031, 0.8275, 0.4077], [0.5079, 0.8102, 0.4112], [0.4014, 0.9923, 0.4122], [0.9100, 0.9941, 0.4076], [0.0852, 0.1802, 0.4059], [0.5857, 0.1650, 0.4079], [0.0047, 0.1694, 0.9090], [0.5049, 0.1772, 0.9032], [0.0907, 0.9853, 0.9123], [0.5917, 0.9823, 0.9132], [0.4120, 0.8330, 0.9059], [0.9032, 0.8170, 0.9098], [0.4873, 0.1515, 0.5881], [0.9840, 0.1663, 0.5842], [0.0987, 0.0284, 0.5845], [0.6013, 0.0379, 0.5853], [0.4149, 0.7990, 0.5841], [0.9205, 0.8012, 0.5850], [0.4794, 0.7984, 0.0884], [0.9786, 0.7960, 0.0853], [0.4164, 0.0261, 0.0874], [0.9131, 0.0258, 0.0833], [0.0862, 0.1483, 0.0907], [0.5886, 0.1528, 0.0921], [0.3426, 0.1437, 0.7473], [0.8430, 0.1624, 0.7460], [0.2403, 0.3086, 0.7441], [0.7391, 0.3140, 0.7457], [0.4173, 0.5240, 0.7496], [0.9215, 0.5272, 0.7476], [0.3416, 0.5195, 0.2481], [0.8462, 0.5216, 0.2511], [0.4259, 0.3120, 0.2400], [0.9255, 0.3143, 0.2445], [0.2436, 0.1570, 0.2504], [0.7344, 0.1412, 0.2429], [0.3177, 0.4890, 0.9219], [0.8219, 0.5054, 0.9223], [0.4203, 0.3499, 0.9255], [0.9172, 0.3470, 0.9260], [0.2456, 0.1342, 0.9184], [0.7474, 0.1360, 0.9212], [0.3161, 0.1337, 0.4218], [0.8198, 0.1492, 0.4258], [0.2547, 0.3463, 0.4260], [0.7551, 0.3589, 0.4240], [0.4310, 0.4983, 0.4232], [0.9276, 0.4941, 0.4256], [0.1745, 0.5017, 0.0813], [0.6798, 0.5102, 0.0805], [0.0686, 0.6630, 0.0749], [0.5685, 0.6660, 0.0761], [0.2599, 0.8731, 0.0822], [0.7574, 0.8731, 0.0769], [0.1774, 0.8677, 0.5795], [0.6746, 0.8687, 0.5775], [0.2578, 0.6564, 0.5750], [0.7621, 0.6506, 0.5822], [0.0656, 0.4837, 0.5810], [0.5784, 0.4973, 0.5821], [0.1483, 0.8113, 0.2565], [0.6471, 0.8262, 0.2525], [0.2596, 0.6995, 0.2560], [0.7566, 0.6897, 0.2575], [0.0817, 0.4595, 0.2515], [0.5836, 0.4706, 0.2522], [0.1541, 0.4839, 0.7555], [0.6496, 0.4785, 0.7569], [0.0948, 0.7070, 0.7575], [0.5906, 0.7087, 0.7557], [0.2695, 0.8333, 0.7555], [0.7596, 0.8179, 0.7591]], "spacegroup": "P1 (1)", "corrected_energy_ev_per_atom": -7.05, "magmom_total_mub_per_cell": 0.00, "final_energy_ev_per_cell": -1549.9, "formation_energy_kj_per_mol_atoms": -245, "vol_a3_per_cell": 3067, "rho_g_cm3": 2.91}